[1]
Here is a relaxed structure of CaB2H8 from the Materials Project database. Energies are from PBE.

Computed properties:
Spin magnetization, μB/atom: 0.000
Mass density, Mg/m³: 1.077
Distance to the lowest polymorph of the same formula, meV/atom: 12.1
DFT formation energy, eV per atom: -0.4680

Cell: 7.3543 8.7652 13.3525 Å, 90.00 90.00 90.00°
Fractional coordinates of all 88 atoms:
Ca1 0.6866 0.4316 0.1146
Ca2 0.3134 0.0684 0.6146
Ca3 0.8134 0.9316 0.8854
Ca4 0.1866 0.5684 0.3854
Ca5 0.3134 0.5684 0.8854
Ca6 0.6866 0.9316 0.3854
Ca7 0.8134 0.4316 0.6146
Ca8 0.1866 0.0684 0.1146
B1 0.5395 0.0539 0.7811
B2 0.4605 0.4461 0.2811
B3 0.8563 0.6871 0.4849
B4 0.9605 0.5539 0.2189
B5 0.3563 0.8129 0.4849
B6 0.0395 0.9461 0.7189
B7 0.6437 0.1871 0.5151
B8 0.1437 0.3129 0.5151
B9 0.5395 0.5539 0.7189
B10 0.4605 0.9461 0.2189
B11 0.0395 0.4461 0.7811
B12 0.8563 0.1871 0.0151
B13 0.6437 0.6871 0.9849
B14 0.1437 0.8129 0.9849
B15 0.9605 0.0539 0.2811
B16 0.3563 0.3129 0.0151
H1 0.9942 0.4839 0.1414
H2 0.2747 0.8992 0.9862
H3 0.5124 0.6358 0.0311
H4 0.4942 0.0161 0.1414
H5 0.7253 0.1008 0.0138
H6 0.5058 0.9839 0.8586
H7 0.9196 0.3503 0.7703
H8 0.0804 0.6497 0.2297
H9 0.9876 0.6358 0.5311
H10 0.3144 0.3783 0.2865
H11 0.8197 0.8082 0.5253
H12 0.8197 0.3082 0.9747
H13 0.4514 0.5384 0.2116
H14 0.9942 0.9839 0.3586
H15 0.7747 0.1008 0.5138
H16 0.4514 0.0384 0.2884
H17 0.6024 0.7063 0.8965
H18 0.9514 0.4616 0.2884
H19 0.5486 0.4616 0.7884
H20 0.4876 0.8642 0.5311
H21 0.2747 0.3992 0.5138
H22 0.7747 0.6008 0.9862
H23 0.3976 0.2937 0.1035
H24 0.9514 0.9616 0.2116
H25 0.5486 0.9616 0.7116
H26 0.1803 0.6918 0.0253
H27 0.3144 0.8783 0.2135
H28 0.5804 0.3503 0.2703
H29 0.3197 0.1918 0.9747
H30 0.0804 0.1497 0.2703
H31 0.4196 0.1497 0.7703
H32 0.4196 0.6497 0.7297
H33 0.9876 0.1358 0.9689
H34 0.1803 0.1918 0.4747
H35 0.6803 0.3082 0.4747
H36 0.0058 0.0161 0.6414
H37 0.8976 0.7063 0.3965
H38 0.0486 0.5384 0.7116
H39 0.5124 0.1358 0.4689
H40 0.5804 0.8503 0.2297
H41 0.7253 0.6008 0.4862
H42 0.8144 0.1217 0.2865
H43 0.6803 0.8082 0.0253
H44 0.1024 0.2937 0.6035
H45 0.1024 0.7937 0.8965
H46 0.6024 0.2063 0.6035
H47 0.5058 0.4839 0.6414
H48 0.4876 0.3642 0.9689
H49 0.9196 0.8503 0.7297
H50 0.4942 0.5161 0.3586
H51 0.3197 0.6918 0.5253
H52 0.0124 0.8642 0.0311
H53 0.1856 0.8783 0.7135
H54 0.6856 0.1217 0.7865
H55 0.0486 0.0384 0.7884
H56 0.0124 0.3642 0.4689
H57 0.1856 0.3783 0.7865
H58 0.3976 0.7937 0.3965
H59 0.2253 0.8992 0.4862
H60 0.8144 0.6217 0.2135
H61 0.0058 0.5161 0.8586
H62 0.2253 0.3992 0.0138
H63 0.8976 0.2063 0.1035
H64 0.6856 0.6217 0.7135

=====

[2]
Here is a relaxed structure of CaB2H from the Materials Project database. Energies are from PBE.

Computed properties:
Spin magnetization, μB/atom: 0.000
Mass density, Mg/m³: 2.243
DFT formation energy, eV per atom: 0.3487

Cell: 3.3887 3.1685 17.2914 Å, 90.00 90.00 90.00°
Fractional coordinates of all 16 atoms:
Ca1 0.4919 0.7500 0.3810
Ca2 0.0081 0.7500 0.8810
Ca3 0.5081 0.2500 0.6190
Ca4 0.9919 0.2500 0.1190
B1 0.0436 0.7500 0.5141
B2 0.4564 0.7500 0.0141
B3 0.9564 0.2500 0.4859
B4 0.5436 0.2500 0.9859
B5 0.5060 0.7500 0.7515
B6 0.9940 0.7500 0.2515
B7 0.4940 0.2500 0.2485
B8 0.0060 0.2500 0.7485
H1 0.3309 0.7500 0.5561
H2 0.1691 0.7500 0.0561
H3 0.6691 0.2500 0.4439
H4 0.8309 0.2500 0.9439

=====

[3]
Here is a relaxed structure of CaB2H8 from the Materials Project database. Energies are from PBE.

Computed properties:
Spin magnetization, μB/atom: 0.000
Mass density, Mg/m³: 1.057
Distance to the lowest polymorph of the same formula, meV/atom: 3.7
DFT formation energy, eV per atom: -0.4764

Cell: 7.8681 7.5965 5.8055 Å, 70.46 65.49 44.05°
Fractional coordinates of all 22 atoms:
Ca1 0.2424 0.7576 0.2424
Ca2 0.4924 0.0076 0.4924
B1 0.0152 0.5427 0.4718
B2 0.4718 0.9703 0.0152
B3 0.2797 0.7782 0.7073
B4 0.7073 0.2348 0.2797
H1 0.9373 0.7359 0.5295
H2 0.5295 0.7972 0.9373
H3 0.4528 0.7205 0.5141
H4 0.5141 0.3127 0.4528
H5 0.1707 0.4771 0.2631
H6 0.2631 0.0891 0.1707
H7 0.1609 0.9869 0.7729
H8 0.7729 0.0793 0.1609
H9 0.1018 0.3855 0.6462
H10 0.6462 0.8665 0.1018
H11 0.3835 0.6038 0.8645
H12 0.8645 0.1482 0.3835
H13 0.8424 0.5732 0.4652
H14 0.4652 0.1192 0.8424
H15 0.1308 0.7848 0.6768
H16 0.6768 0.4076 0.1308

=====

[4]
Here is a relaxed structure of CaB2H8 from the Materials Project database. Energies are from PBE.

Computed properties:
Spin magnetization, μB/atom: 0.000
Mass density, Mg/m³: 1.000
Distance to the lowest polymorph of the same formula, meV/atom: 18.7
DFT formation energy, eV per atom: -0.4614

Cell: 7.7926 7.7926 7.7926 Å, 135.18 135.18 65.25°
Fractional coordinates of all 22 atoms:
Ca1 0.0000 0.0000 0.0000
Ca2 0.7500 0.2500 0.5000
B1 0.2198 0.2198 0.0000
B2 0.5302 0.0302 0.5000
B3 0.7802 0.7802 0.0000
B4 0.9698 0.4698 0.5000
H1 0.0720 0.3092 0.0458
H2 0.6780 0.2237 0.7371
H3 0.2634 0.0263 0.9542
H4 0.4866 0.9408 0.2629
H5 0.9737 0.9280 0.2371
H6 0.7763 0.5134 0.4542
H7 0.6908 0.7366 0.7629
H8 0.0592 0.3220 0.5458
H9 0.1458 0.1716 0.7670
H10 0.6042 0.8711 0.5258
H11 0.4046 0.3789 0.2330
H12 0.3454 0.0784 0.4742
H13 0.6211 0.8542 0.0258
H14 0.1289 0.6546 0.7330
H15 0.8284 0.5954 0.9742
H16 0.9216 0.3958 0.2670

=====

[5]
Here is a relaxed structure of CaB2H8 from the Materials Project database. Energies are from PBE.

Computed properties:
Spin magnetization, μB/atom: 0.000
Mass density, Mg/m³: 1.147
Distance to the lowest polymorph of the same formula, meV/atom: 12.5
DFT formation energy, eV per atom: -0.4676

Cell: 6.8060 6.8060 4.3613 Å, 90.00 90.00 90.00°
Fractional coordinates of all 22 atoms:
Ca1 0.5000 0.0000 0.0172
Ca2 0.0000 0.5000 0.5172
B1 0.2136 0.3117 0.0233
B2 0.7864 0.6883 0.0233
B3 0.3117 0.7864 0.5233
B4 0.6883 0.2136 0.5233
H1 0.1664 0.4855 0.0241
H2 0.8336 0.5145 0.0241
H3 0.3917 0.3184 0.0564
H4 0.6083 0.6816 0.0564
H5 0.1342 0.2200 0.2313
H6 0.8658 0.7800 0.2313
H7 0.2330 0.8308 0.2803
H8 0.7670 0.1692 0.2803
H9 0.4855 0.8336 0.5241
H10 0.5145 0.1664 0.5241
H11 0.3184 0.6083 0.5564
H12 0.6816 0.3917 0.5564
H13 0.2200 0.8658 0.7313
H14 0.7800 0.1342 0.7313
H15 0.1692 0.2330 0.7803
H16 0.8308 0.7670 0.7803

=====

[6]
Here is a relaxed structure of CaB2H8 from the Materials Project database. Energies are from PBE.

Computed properties:
Spin magnetization, μB/atom: 0.000
Mass density, Mg/m³: 1.089
Distance to the lowest polymorph of the same formula, meV/atom: 11.0
DFT formation energy, eV per atom: -0.4691

Cell: 6.9926 6.9926 4.3505 Å, 90.00 90.00 90.00°
Fractional coordinates of all 22 atoms:
Ca1 0.5000 0.0000 0.2471
Ca2 0.0000 0.5000 0.7529
B1 0.2001 0.3149 0.2528
B2 0.7999 0.6851 0.2528
B3 0.3149 0.7999 0.7472
B4 0.6851 0.2001 0.7472
H1 0.3745 0.3024 0.2400
H2 0.6255 0.6976 0.2400
H3 0.3024 0.6255 0.7600
H4 0.6976 0.3745 0.7600
H5 0.1380 0.2383 0.4851
H6 0.8620 0.7617 0.4851
H7 0.2383 0.8620 0.5149
H8 0.7617 0.1380 0.5149
H9 0.1708 0.4884 0.2546
H10 0.8292 0.5116 0.2546
H11 0.4884 0.8292 0.7454
H12 0.5116 0.1708 0.7454
H13 0.1251 0.2376 0.0311
H14 0.8749 0.7624 0.0311
H15 0.2376 0.8749 0.9689
H16 0.7624 0.1251 0.9689

=====

[7]
Here is a relaxed structure of CaB2H8 from the Materials Project database. Energies are from PBE.

Computed properties:
Spin magnetization, μB/atom: 0.000
Mass density, Mg/m³: 1.066
Distance to the lowest polymorph of the same formula, meV/atom: 0.0
DFT formation energy, eV per atom: -0.4801

Cell: 7.9203 7.5821 5.7781 Å, 71.26 65.04 43.70°
Fractional coordinates of all 22 atoms:
Ca1 0.7500 0.7500 0.7500
Ca2 0.5000 0.5000 0.5000
B1 0.9707 0.9707 0.5293
B2 0.5293 0.5293 0.9707
B3 0.2793 0.2793 0.7207
B4 0.7207 0.7207 0.2793
H1 0.0531 0.7825 0.4467
H2 0.7825 0.0531 0.7177
H3 0.4467 0.7177 0.0531
H4 0.7177 0.4467 0.7825
H5 0.1969 0.4675 0.8033
H6 0.4675 0.1969 0.5323
H7 0.8033 0.5323 0.1969
H8 0.5323 0.8033 0.4675
H9 0.1227 0.3274 0.6526
H10 0.3274 0.1227 0.8973
H11 0.6526 0.8973 0.1227
H12 0.8973 0.6526 0.3274
H13 0.1273 0.9226 0.5974
H14 0.9226 0.1273 0.3527
H15 0.5974 0.3527 0.1273
H16 0.3527 0.5974 0.9226

=====

[8]
Here is a relaxed structure of CaB2H3 from the Materials Project database. Energies are from PBE.

Computed properties:
Spin magnetization, μB/atom: 0.000
Mass density, Mg/m³: 2.118
Distance to the lowest polymorph of the same formula, meV/atom: 149.5
DFT formation energy, eV per atom: -0.0538

Cell: 3.5641 3.4265 16.6198 Å, 90.00 90.00 90.00°
Fractional coordinates of all 24 atoms:
Ca1 0.4898 0.7500 0.3862
Ca2 0.0102 0.7500 0.8862
Ca3 0.5102 0.2500 0.6138
Ca4 0.9898 0.2500 0.1138
B1 0.0512 0.7500 0.5223
B2 0.4488 0.7500 0.0223
B3 0.9488 0.2500 0.4777
B4 0.5512 0.2500 0.9777
B5 0.4816 0.7500 0.7492
B6 0.0184 0.7500 0.2492
B7 0.5184 0.2500 0.2508
B8 0.9816 0.2500 0.7508
H1 0.9579 0.7500 0.5949
H2 0.5421 0.7500 0.0949
H3 0.0421 0.2500 0.4051
H4 0.4579 0.2500 0.9051
H5 0.3952 0.7500 0.5298
H6 0.1048 0.7500 0.0298
H7 0.6048 0.2500 0.4702
H8 0.8952 0.2500 0.9702
H9 0.0520 0.7500 0.1770
H10 0.4480 0.7500 0.6770
H11 0.9480 0.2500 0.8230
H12 0.5520 0.2500 0.3230

=====

[9]
Here is a relaxed structure of CaB2H8 from the Materials Project database. Energies are from PBE.

Computed properties:
Spin magnetization, μB/atom: 0.000
Mass density, Mg/m³: 1.091
Distance to the lowest polymorph of the same formula, meV/atom: 10.9
DFT formation energy, eV per atom: -0.4692

Cell: 6.9789 6.9789 4.3620 Å, 90.00 90.00 90.00°
Fractional coordinates of all 22 atoms:
Ca1 0.0000 0.5000 0.5000
Ca2 0.5000 0.0000 0.0000
B1 0.7984 0.6836 0.0000
B2 0.2016 0.3164 0.0000
B3 0.3164 0.7984 0.5000
B4 0.6836 0.2016 0.5000
H1 0.6232 0.6951 0.0000
H2 0.3768 0.3049 0.0000
H3 0.3049 0.6232 0.5000
H4 0.6951 0.3768 0.5000
H5 0.8664 0.7611 0.7731
H6 0.1336 0.2389 0.7731
H7 0.2389 0.8664 0.2731
H8 0.7611 0.1336 0.2731
H9 0.8664 0.7611 0.2269
H10 0.1336 0.2389 0.2269
H11 0.2389 0.8664 0.7269
H12 0.7611 0.1336 0.7269
H13 0.8286 0.5099 0.0000
H14 0.1714 0.4901 0.0000
H15 0.4901 0.8286 0.5000
H16 0.5099 0.1714 0.5000

=====

[10]
Here is a relaxed structure of CaB2H8 from the Materials Project database. Energies are from PBE.

Computed properties:
Spin magnetization, μB/atom: 0.364
Mass density, Mg/m³: 0.624
Distance to the lowest polymorph of the same formula, meV/atom: 808.0
DFT formation energy, eV per atom: 0.3279

Cell: 7.9722 7.9722 9.2776 Å, 126.29 126.29 79.08°
Fractional coordinates of all 22 atoms:
Ca1 0.7339 0.2661 0.2500
Ca2 0.2661 0.7339 0.7500
B1 0.8983 0.6535 0.6717
B2 0.3465 0.1017 0.8283
B3 0.1017 0.3465 0.3283
B4 0.6535 0.8983 0.1717
H1 0.7919 0.7381 0.7365
H2 0.2619 0.2081 0.7635
H3 0.2081 0.2619 0.2635
H4 0.7381 0.7919 0.2365
H5 0.8889 0.6765 0.5475
H6 0.3235 0.1111 0.9525
H7 0.1111 0.3235 0.4525
H8 0.6765 0.8889 0.0475
H9 0.7612 0.4657 0.9767
H10 0.5343 0.2388 0.5233
H11 0.2388 0.5343 0.0233
H12 0.4657 0.7612 0.4767
H13 0.0445 0.5853 0.7611
H14 0.4147 0.9555 0.7389
H15 0.9555 0.4147 0.2389
H16 0.5853 0.0445 0.2611

=====

- What is the formula in the eighth record?
  CaB2H3

=====

- Which of these has the highest spin magnetization?
  number 10

=====

- Look up the spin magnetization of the fifth one.
  0.000 μB/atom